[1]
The following is a GGA-PBE calculation of an optimized crystal structure of Dy2Ru2O7, from the Materials Project database.

Unit cell a=7.242 b=7.242 c=7.242 alpha=60.00 beta=60.00 gamma=60.00
Fractional coordinates of all 22 atoms:
Dy: 0.125 0.625 0.125
O: 0.537 0.963 0.963
Ru: 0.625 0.625 0.125
O: 0.000 0.000 0.000
Dy: 0.625 0.125 0.125
Dy: 0.125 0.125 0.125
O: 0.963 0.537 0.537
O: 0.287 0.287 0.713
Ru: 0.125 0.625 0.625
O: 0.287 0.713 0.713
O: 0.713 0.287 0.287
O: 0.963 0.963 0.537
O: 0.713 0.713 0.287
O: 0.963 0.537 0.963
O: 0.713 0.287 0.713
O: 0.250 0.250 0.250
Ru: 0.625 0.125 0.625
O: 0.287 0.713 0.287
Dy: 0.125 0.125 0.625
Ru: 0.625 0.625 0.625
O: 0.537 0.537 0.963
O: 0.537 0.963 0.537

Properties
Electronic total energy ... -172.33 eV for the cell shown
Crystal system ... cubic

[2]
The following is a GGA-PBE calculation of an optimized crystal structure of Sr4Rh, from the Materials Project database.

Unit cell a=8.721 b=8.721 c=8.721 alpha=60.00 beta=60.00 gamma=60.00
Fractional coordinates of all 10 atoms:
Sr: 0.871 0.386 0.871
Rh: 0.250 0.250 0.250
Sr: 0.379 0.379 0.864
Sr: 0.379 0.864 0.379
Sr: 0.871 0.871 0.386
Sr: 0.864 0.379 0.379
Rh: 0.000 0.000 0.000
Sr: 0.386 0.871 0.871
Sr: 0.871 0.871 0.871
Sr: 0.379 0.379 0.379

Properties
Electronic total energy ... -27.46 eV for the cell shown
M_tot ... 0.0 μB per cell
Crystal system ... cubic

[3]
The following is a GGA-PBE calculation of an optimized crystal structure of Li5Mg, from the Materials Project database.

Unit cell a=8.012 b=8.012 c=4.978 alpha=90.00 beta=90.00 gamma=157.52
Fractional coordinates of all 6 atoms:
Li: 0.334 0.666 0.500
Mg: 0.221 0.779 0.000
Li: 0.555 0.445 0.000
Li: 0.889 0.111 0.000
Li: 0.667 0.333 0.500
Li: 0.001 0.999 0.500

Properties
Electronic total energy ... -11.21 eV for the cell shown
ΔE to the lowest computed polymorph ... 12 meV per atom
Crystal system ... orthorhombic

[4]
The following is a GGA-PBE calculation of an optimized crystal structure of Ba3PbS4O16, from the Materials Project database.

Unit cell a=5.528 b=7.207 c=8.904 alpha=89.89 beta=90.00 gamma=90.00
Fractional coordinates of all 24 atoms:
O: 0.000 0.897 0.589
O: 0.500 0.106 0.412
O: 0.000 0.949 0.315
S: 0.500 0.311 0.062
S: 0.500 0.190 0.563
O: 0.719 0.189 0.080
O: 0.779 0.810 0.917
O: 0.779 0.689 0.423
Ba: 0.500 0.841 0.185
Ba: 0.000 0.159 0.815
O: 0.500 0.047 0.685
O: 0.500 0.451 0.185
O: 0.000 0.548 0.813
O: 0.719 0.312 0.581
O: 0.500 0.396 0.911
Pb: 0.500 0.662 0.687
O: 0.221 0.689 0.423
S: 0.000 0.688 0.935
S: 0.000 0.810 0.439
O: 0.000 0.606 0.087
Ba: 0.000 0.341 0.316
O: 0.281 0.189 0.080
O: 0.281 0.312 0.581
O: 0.221 0.810 0.917

Properties
Electronic total energy ... -154.29 eV for the cell shown
M_tot ... 0.0 μB per cell
Crystal system ... monoclinic

[5]
The following is a GGA-PBE calculation of an optimized crystal structure of LiSnP4O12, from the Materials Project database.

Unit cell a=7.471 b=7.471 c=10.319 alpha=66.46 beta=66.46 gamma=70.65
Fractional coordinates of all 36 atoms:
O: 0.703 0.198 0.922
P: 0.735 0.281 0.021
O: 0.097 0.829 0.914
P: 0.719 0.265 0.479
O: 0.310 0.533 0.654
O: 0.903 0.171 0.086
Li: 0.000 0.500 0.500
P: 0.702 0.688 0.802
O: 0.288 0.127 0.174
O: 0.348 0.193 0.843
O: 0.297 0.802 0.078
O: 0.231 0.495 0.064
O: 0.198 0.703 0.422
O: 0.802 0.297 0.578
O: 0.505 0.769 0.436
O: 0.193 0.348 0.343
Sn: 0.950 0.050 0.750
O: 0.127 0.288 0.674
O: 0.495 0.231 0.564
P: 0.265 0.719 0.979
P: 0.312 0.298 0.698
O: 0.533 0.310 0.154
Sn: 0.050 0.950 0.250
P: 0.298 0.312 0.198
O: 0.829 0.097 0.414
O: 0.712 0.873 0.826
O: 0.873 0.712 0.326
O: 0.652 0.807 0.157
P: 0.688 0.702 0.302
Li: 0.500 0.000 0.000
O: 0.807 0.652 0.657
O: 0.171 0.903 0.586
O: 0.769 0.505 0.936
O: 0.467 0.690 0.846
P: 0.281 0.735 0.521
O: 0.690 0.467 0.346

Properties
Electronic total energy ... -247.15 eV for the cell shown
M_tot ... 2.0 μB per cell
ΔE to the lowest computed polymorph ... 9 meV per atom
Crystal system ... monoclinic

[6]
The following is a GGA-PBE calculation of an optimized crystal structure of KAlP2H4O9, from the Materials Project database.

Unit cell a=9.208 b=10.111 c=16.390 alpha=79.94 beta=90.00 gamma=90.00
Fractional coordinates of all 136 atoms:
O: 0.017 0.394 0.645
Al: 0.417 0.927 0.149
O: 0.260 0.954 0.218
O: 0.250 0.510 0.916
O: 0.822 0.407 0.936
P: 0.484 0.358 0.739
O: 0.722 0.756 0.538
O: 0.517 0.606 0.855
P: 0.984 0.642 0.761
H: 0.486 0.360 0.091
P: 0.170 0.714 0.109
Al: 0.312 0.590 0.804
O: 0.628 0.433 0.739
O: 0.983 0.722 0.495
P: 0.516 0.642 0.261
O: 0.921 0.634 0.853
P: 0.362 0.169 0.992
O: 0.372 0.567 0.261
K: 0.947 0.891 0.889
O: 0.053 0.823 0.065
P: 0.830 0.286 0.891
O: 0.779 0.246 0.665
K: 0.553 0.891 0.389
K: 0.656 0.772 0.729
O: 0.871 0.580 0.709
O: 0.720 0.021 0.634
O: 0.494 0.206 0.769
Al: 0.812 0.410 0.696
H: 0.929 0.265 0.470
H: 0.703 0.979 0.101
O: 0.780 0.021 0.134
H: 0.391 0.459 0.616
O: 0.128 0.567 0.761
H: 0.548 0.790 0.558
P: 0.638 0.831 0.008
P: 0.862 0.831 0.508
O: 0.017 0.278 0.505
O: 0.760 0.046 0.282
O: 0.483 0.394 0.145
O: 0.926 0.908 0.574
H: 0.723 0.445 0.538
H: 0.952 0.790 0.058
O: 0.629 0.580 0.209
H: 0.891 0.541 0.884
K: 0.053 0.109 0.111
H: 0.071 0.735 0.530
H: 0.074 0.476 0.638
O: 0.316 0.791 0.101
H: 0.926 0.524 0.362
H: 0.760 0.590 0.067
H: 0.777 0.445 0.038
O: 0.553 0.177 0.435
O: 0.966 0.058 0.695
O: 0.220 0.979 0.866
O: 0.666 0.926 0.927
O: 0.517 0.722 0.995
O: 0.834 0.926 0.427
O: 0.116 0.674 0.199
O: 0.579 0.634 0.353
H: 0.240 0.410 0.933
Al: 0.083 0.927 0.649
O: 0.166 0.074 0.573
H: 0.571 0.265 0.970
H: 0.609 0.541 0.384
O: 0.983 0.606 0.355
O: 0.079 0.366 0.147
K: 0.156 0.228 0.771
H: 0.277 0.555 0.462
O: 0.278 0.244 0.462
H: 0.260 0.410 0.433
O: 0.222 0.244 0.962
H: 0.986 0.640 0.409
O: 0.322 0.593 0.564
Al: 0.917 0.073 0.351
O: 0.750 0.490 0.084
K: 0.844 0.772 0.229
O: 0.426 0.092 0.926
O: 0.250 0.510 0.416
O: 0.994 0.794 0.731
O: 0.334 0.074 0.073
O: 0.279 0.754 0.835
O: 0.816 0.209 0.399
P: 0.806 0.097 0.697
H: 0.014 0.360 0.591
P: 0.194 0.903 0.303
P: 0.138 0.169 0.492
P: 0.670 0.286 0.391
Al: 0.188 0.590 0.304
O: 0.506 0.794 0.231
O: 0.721 0.246 0.165
K: 0.344 0.228 0.271
P: 0.306 0.903 0.803
O: 0.534 0.058 0.195
O: 0.221 0.754 0.335
O: 0.034 0.942 0.305
Al: 0.583 0.073 0.851
K: 0.447 0.109 0.611
Al: 0.688 0.410 0.196
H: 0.426 0.476 0.138
P: 0.016 0.358 0.239
O: 0.884 0.326 0.801
O: 0.574 0.908 0.074
O: 0.466 0.942 0.805
O: 0.616 0.326 0.301
O: 0.947 0.177 0.935
H: 0.574 0.524 0.862
O: 0.778 0.756 0.038
O: 0.684 0.209 0.899
O: 0.074 0.092 0.426
O: 0.006 0.206 0.269
H: 0.514 0.640 0.909
P: 0.694 0.097 0.197
H: 0.223 0.555 0.962
O: 0.178 0.593 0.064
O: 0.240 0.954 0.718
O: 0.740 0.046 0.782
P: 0.330 0.714 0.609
H: 0.797 0.979 0.601
O: 0.872 0.433 0.239
H: 0.203 0.021 0.399
O: 0.750 0.490 0.584
O: 0.421 0.366 0.647
H: 0.048 0.210 0.942
O: 0.129 0.420 0.291
H: 0.109 0.459 0.116
O: 0.447 0.823 0.565
H: 0.740 0.590 0.567
O: 0.678 0.407 0.436
O: 0.184 0.791 0.601
H: 0.429 0.735 0.030
H: 0.452 0.210 0.442
O: 0.280 0.979 0.366
O: 0.371 0.420 0.791
H: 0.297 0.021 0.899
O: 0.384 0.674 0.699
O: 0.483 0.278 0.005

Properties
Electronic total energy ... -860.30 eV for the cell shown
M_tot ... 0.0 μB per cell
Crystal system ... monoclinic

[7]
The following is a GGA-PBE calculation of an optimized crystal structure of Mg5Pd, from the Materials Project database.

Unit cell a=5.343 b=5.343 c=4.816 alpha=90.00 beta=90.00 gamma=120.00
Fractional coordinates of all 6 atoms:
Mg: 0.667 0.333 0.000
Pd: 0.000 0.000 0.000
Mg: 0.000 0.315 0.500
Mg: 0.333 0.667 0.000
Mg: 0.315 0.000 0.500
Mg: 0.685 0.685 0.500

Properties
Electronic total energy ... -14.63 eV for the cell shown
Crystal system ... hexagonal

[8]
The following is a GGA-PBE calculation of an optimized crystal structure of HoAlPd, from the Materials Project database.

Unit cell a=4.473 b=6.878 c=7.743 alpha=90.00 beta=90.00 gamma=90.00
Fractional coordinates of all 12 atoms:
Pd: 0.750 0.227 0.883
Ho: 0.250 0.033 0.680
Al: 0.750 0.354 0.562
Pd: 0.750 0.727 0.617
Al: 0.250 0.146 0.062
Ho: 0.750 0.467 0.180
Al: 0.250 0.646 0.438
Ho: 0.750 0.967 0.320
Pd: 0.250 0.773 0.117
Ho: 0.250 0.533 0.820
Pd: 0.250 0.273 0.383
Al: 0.750 0.854 0.938

Properties
Electronic total energy ... -64.68 eV for the cell shown
Crystal system ... orthorhombic

[9]
The following is a GGA-PBE calculation of an optimized crystal structure of Eu2GeSe4, from the Materials Project database.

Unit cell a=7.131 b=6.977 c=8.349 alpha=72.21 beta=90.00 gamma=90.00
Fractional coordinates of all 14 atoms:
Ge: 0.252 0.767 0.305
Se: 0.202 0.580 0.595
Se: 0.702 0.420 0.405
Se: 0.217 0.572 0.114
Se: 0.524 0.981 0.250
Eu: 0.794 0.749 0.063
Se: 0.510 0.983 0.762
Ge: 0.752 0.233 0.695
Se: 0.024 0.019 0.750
Eu: 0.278 0.226 0.444
Se: 0.717 0.428 0.886
Eu: 0.778 0.774 0.556
Se: 0.010 0.017 0.238
Eu: 0.294 0.251 0.937

Properties
Electronic total energy ... -95.77 eV for the cell shown
M_tot ... 28.0 μB per cell
ΔE to the lowest computed polymorph ... 0 meV per atom
Crystal system ... monoclinic

[10]
The following is a GGA-PBE calculation of an optimized crystal structure of SmSbPt, from the Materials Project database.

Unit cell a=4.802 b=4.802 c=4.802 alpha=60.00 beta=60.00 gamma=60.00
Fractional coordinates of all 3 atoms:
Pt: 0.000 0.000 0.000
Sb: 0.250 0.250 0.250
Sm: 0.500 0.500 0.500

Properties
Electronic total energy ... -16.86 eV for the cell shown
M_tot ... 0.0 μB per cell
Crystal system ... cubic